A plane-wave DFT calculation with GGA-PBE was carried out for a geometry-optimized CsNbCu2Te4 structure.

Properties
The calculation puts the formation energy at -0.7045 eV/atom. Its largest piezoelectric modulus is 0.21 C/m2. The uncorrected energy is -4.465 eV/atom. Its volume is 265.83 Å³/f.u. For the magnetization, the calculation gives 0.000 μB per atom.

Geometry as extended XYZ:
```
32
Lattice="6.058 0.000 0.000 0.000 8.345 0.000 0.000 0.000 21.034" Properties=species:S:1:pos:R:3 pbc="T T T"
Te 3.071 6.753 11.468
Te 0.013 5.934 5.268
Te 0.073 0.308 18.003
Te 0.081 0.448 13.692
Te 0.081 4.620 17.859
Te 0.042 5.764 0.951
Te 0.013 1.761 5.249
Te 0.042 1.592 9.566
Te 3.110 3.725 3.175
Te 3.042 2.411 15.766
Te 3.071 2.581 20.084
Te 3.110 7.897 7.342
Te 3.102 3.864 7.486
Te 3.102 8.037 3.031
Te 0.073 4.481 13.548
Te 3.042 6.584 15.785
Cu 4.600 1.705 7.425
Cu 1.615 8.023 5.199
Cu 1.615 3.850 5.318
Cu 4.600 5.877 3.092
Cu 4.644 4.495 15.716
Cu 4.644 0.322 15.835
Cu 1.571 2.468 17.942
Cu 1.571 6.640 13.609
Cs 3.119 2.474 11.814
Cs 0.090 5.871 9.221
Cs 3.119 6.646 19.738
Cs 0.090 1.699 1.297
Nb 1.570 5.871 3.097
Nb 4.598 6.646 13.615
Nb 1.570 1.699 7.420
Nb 4.598 2.474 17.937
```